No. 1
A plane-wave DFT calculation with PBE was carried out for NaAlH2 after structural relaxation.

Output
As for the relative energy among the computed polymorphs: 0.0478 eV/atom.

a = 6.0455 Å, b = 6.0455 Å, c = 10.9435 Å
α = 90.00°, β = 90.00°, γ = 90.00°
Space group I4_1/amd (No. 141, origin choice 2)
Symmetry-distinct sites (fractional):
Na 0.0000 0.0000 0.0000 x8
Al 0.0000 0.0000 0.5000 x8
H 0.0000 0.0636 0.2006 x16

---

No. 2
A plane-wave DFT calculation with PBE was carried out for HoPd3S4 after structural relaxation.

a = 6.7041 Å, b = 6.7041 Å, c = 6.7041 Å
α = 90.00°, β = 90.00°, γ = 90.00°
Space group Pm-3n (No. 223)
Symmetry-distinct sites (fractional):
Ho 0.0000 0.0000 0.0000 x2
Pd 0.0000 0.2500 0.5000 x6
S 0.2500 0.2500 0.2500 x8

---

No. 3
A plane-wave DFT calculation with PBE was carried out for Na2Nb3O6 after structural relaxation.

Output
As for the relative energy among the computed polymorphs: 0.0000 eV/atom.

a = 5.1687 Å, b = 5.1687 Å, c = 23.6691 Å
α = 90.00°, β = 90.00°, γ = 120.00°
Space group P-31c (No. 163)
Symmetry-distinct sites (fractional):
Na 0.0000 0.0000 0.2500 x2
Na 0.3333 0.6667 0.0001 x4
Na 0.3333 0.6667 0.2500 x2
Nb 0.0045 0.3333 0.6250 x12
O 0.0015 0.3385 0.4282 x12
O 0.0051 0.3349 0.3217 x12

---

No. 4
A plane-wave DFT calculation with PBE was carried out for NaPd3O4 after structural relaxation.

a = 5.7576 Å, b = 5.7576 Å, c = 5.7576 Å
α = 90.00°, β = 90.00°, γ = 90.00°
Space group Pm-3n (No. 223)
Symmetry-distinct sites (fractional):
Na 0.0000 0.0000 0.0000 x2
Pd 0.0000 0.2500 0.5000 x6
O 0.2500 0.2500 0.2500 x8

---

No. 5
A plane-wave DFT calculation with PBE was carried out for Cu4Te5Cl4O12 after structural relaxation.

a = 11.5667 Å, b = 11.5667 Å, c = 6.3964 Å
α = 90.00°, β = 90.00°, γ = 90.00°
Space group P4/n (No. 85, origin choice 2)
Symmetry-distinct sites (fractional):
Cu 0.0931 0.7447 0.1500 x8
Te 0.0208 0.6768 0.6290 x8
Te 0.2500 0.2500 0.1329 x2
Cl 0.0537 0.3826 0.8273 x8
O 0.0770 0.7915 0.4410 x8
O 0.0961 0.2123 0.2688 x8
O 0.1279 0.7140 0.8554 x8

---

No. 6
A plane-wave DFT calculation with PBE was carried out for Sr2AlCO3F5 after structural relaxation.

a = 5.5198 Å, b = 8.8546 Å, c = 13.6569 Å
α = 90.00°, β = 105.29°, γ = 90.00°
Space group P2_1/c (No. 14)
Symmetry-distinct sites (fractional):
Sr 0.1921 0.1089 0.4015 x4
Sr 0.1951 0.6408 0.4115 x4
Al 0.3031 0.6280 0.6696 x4
C 0.3258 0.1247 0.6386 x4
O 0.0901 0.1211 0.5876 x4
O 0.3820 0.1290 0.7367 x4
O 0.4964 0.1238 0.5888 x4
F 0.0102 0.1287 0.9300 x4
F 0.1699 0.7266 0.2339 x4
F 0.1746 0.0275 0.2263 x4
F 0.3940 0.7244 0.0913 x4
F 0.4136 0.0063 0.0888 x4

---

No. 7
A plane-wave DFT calculation with PBE was carried out for SrSmB12 after structural relaxation.

a = 4.1546 Å, b = 4.1546 Å, c = 8.3205 Å
α = 90.00°, β = 90.00°, γ = 90.00°
Space group P4/mmm (No. 123)
Symmetry-distinct sites (fractional):
Sr 0.0000 0.0000 0.0000 x1
Sm 0.0000 0.0000 0.5000 x1
B 0.2007 0.5000 0.2519 x8
B 0.5000 0.5000 0.1017 x2
B 0.5000 0.5000 0.4006 x2

---

No. 8
A plane-wave DFT calculation with PBE was carried out for Li3TiCu4O8 after structural relaxation.

a = 10.9347 Å, b = 5.7619 Å, c = 5.6644 Å
α = 90.00°, β = 119.48°, γ = 90.00°
Space group C2/m (No. 12)
Symmetry-distinct sites (fractional):
Li 0.0000 0.0000 0.0000 x2
Li 0.2500 0.2500 0.5000 x4
Ti 0.0000 0.5000 0.5000 x2
Cu 0.0000 0.0000 0.5000 x2
Cu 0.0000 0.5000 0.0000 x2
Cu 0.2500 0.2500 0.0000 x4
O 0.0253 0.2682 0.2697 x8
O 0.2063 0.0000 0.7399 x4
O 0.2160 0.5000 0.7438 x4

---

No. 9
A plane-wave DFT calculation with PBE was carried out for La3TaTi2O11 after structural relaxation.

a = 3.9584 Å, b = 20.4134 Å, c = 5.6251 Å
α = 90.00°, β = 90.00°, γ = 90.00°
Space group Pmc2_1 (No. 26)
Symmetry-distinct sites (fractional):
La 0.0000 0.0660 0.0000 x2
La 0.0000 0.2595 0.4700 x2
La 0.5000 0.3727 0.9640 x2
Ta 0.0000 0.4370 0.5099 x2
Ti 0.5000 0.0766 0.5091 x2
Ti 0.5000 0.2051 0.0072 x2
O 0.0000 0.0618 0.5423 x2
O 0.0000 0.1937 0.0408 x2
O 0.0000 0.3546 0.7214 x2
O 0.0000 0.3788 0.2408 x2
O 0.0000 0.4794 0.8486 x2
O 0.5000 0.0167 0.2400 x2
O 0.5000 0.1176 0.8350 x2
O 0.5000 0.1499 0.3381 x2
O 0.5000 0.2578 0.7444 x2
O 0.5000 0.2779 0.2238 x2
O 0.5000 0.4342 0.5434 x2

---

No. 10
A plane-wave DFT calculation with PBE was carried out for CuReO4 after structural relaxation.

a = 13.8453 Å, b = 13.8453 Å, c = 7.8286 Å
α = 90.00°, β = 90.00°, γ = 90.00°
Space group I4_1cd (No. 110)
Symmetry-distinct sites (fractional):
Cu 0.1155 0.1629 0.0000 x16
Re 0.0978 0.3562 0.6854 x16
O 0.0283 0.3629 0.1535 x16
O 0.0344 0.1388 0.5254 x16
O 0.1243 0.2599 0.8251 x16
O 0.1555 0.3384 0.4852 x16

---

Formation enthalpy at 0 K, record by record: 0.4 -9.0 -29.2 -8.6 -28.9 -42.1 -6.5 -28.3 -63.7 -10.6 eV/f.u.